The following is a PBE+U calculation of KMoP2O8 after structural relaxation, from Materials Project.

Cell lengths 5.1836, 11.9709, 12.7075 Å; angles 90.00, 112.86, 90.00 degrees
Element x y z (fractional)
K: 0.1733 0.1308 0.4473
K: 0.1733 0.3692 0.9473
K: 0.8267 0.6308 0.0527
K: 0.8267 0.8692 0.5527
Mo: 0.4047 0.1200 0.1646
Mo: 0.4047 0.3800 0.6646
Mo: 0.5953 0.6200 0.3354
Mo: 0.5953 0.8800 0.8354
P: 0.1105 0.0630 0.8638
P: 0.1105 0.4370 0.3638
P: 0.1166 0.6931 0.8522
P: 0.1166 0.8069 0.3522
P: 0.8834 0.1931 0.6478
P: 0.8834 0.3069 0.1478
P: 0.8895 0.5630 0.6362
P: 0.8895 0.9370 0.1362
O: 0.0450 0.2137 0.1160
O: 0.0450 0.2863 0.6160
O: 0.0646 0.1734 0.7847
O: 0.0646 0.3266 0.2847
O: 0.1462 0.5878 0.9189
O: 0.1462 0.9122 0.4189
O: 0.1837 0.5261 0.6481
O: 0.1837 0.9739 0.1481
O: 0.2477 0.5264 0.3167
O: 0.2477 0.9736 0.8167
O: 0.2904 0.1052 0.9821
O: 0.2904 0.3948 0.4821
O: 0.4038 0.7375 0.8592
O: 0.4038 0.7625 0.3592
O: 0.4940 0.1354 0.3089
O: 0.4940 0.3646 0.8089
O: 0.5060 0.6354 0.1911
O: 0.5060 0.8646 0.6911
O: 0.5962 0.2375 0.6408
O: 0.5962 0.2625 0.1408
O: 0.7096 0.6052 0.5179
O: 0.7096 0.8948 0.0179
O: 0.7523 0.0264 0.1833
O: 0.7523 0.4736 0.6833
O: 0.8163 0.0261 0.8519
O: 0.8163 0.4739 0.3519
O: 0.8538 0.0878 0.5811
O: 0.8538 0.4122 0.0811
O: 0.9354 0.6734 0.7153
O: 0.9354 0.8266 0.2153
O: 0.9550 0.7137 0.3840
O: 0.9550 0.7863 0.8840

raw total energy = -83.94 eV/f.u.